# 1
The following is a DFT calculation (GGA-PBE) of a relaxed structure of Rb4SnO3.

The structure belongs to space group Pbca (No. 61); the cell edges are 6.8665, 11.8839 and 20.1463 Å and the angles 90.00°, 90.00° and 90.00°. The distinct sites, in fractional coordinates, are Rb at (0.0326, 0.1112, 0.2044), Rb at (0.1226, 0.6756, 0.6591), Rb at (0.2226, 0.1887, 0.4435), Rb at (0.2389, 0.0566, 0.0381), Sn at (0.1057, 0.5690, 0.8526), O at (0.0375, 0.5862, 0.1559), O at (0.0451, 0.1483, 0.5704) and O at (0.1370, 0.0232, 0.9006).

For the energy, the calculation gives -4.110 eV per atom. The volume is 1644 Å³ per cell. The energy of formation from the pure elements comes out at -1520.4 meV/atom.

---

# 2
The following is a DFT calculation (GGA-PBE) of a relaxed structure of HoMgAu2.

The structure belongs to space group Fm-3m (No. 225); the cell edges are 6.9296, 6.9296 and 6.9296 Å and the angles 90.00°, 90.00° and 90.00°. The distinct sites, in fractional coordinates, are Ho at (0.0000, 0.0000, 0.0000), Mg at (0.0000, 0.0000, 0.5000) and Au at (0.2500, 0.2500, 0.2500).

For the energy, the calculation gives -3.969 eV per atom. The volume is 333 Å³ per cell. The energy of formation from the pure elements comes out at -786.2 meV/atom.

---

# 3
The following is a DFT calculation (GGA-PBE) of a relaxed structure of Dy2Pt2O7.

The structure belongs to space group Fd-3m (No. 227, origin choice 2); the cell edges are 10.2848, 10.2848 and 10.2848 Å and the angles 90.00°, 90.00° and 90.00°. The distinct sites, in fractional coordinates, are Dy at (0.0000, 0.0000, 0.0000), Pt at (0.0000, 0.0000, 0.5000), O at (0.0914, 0.3750, 0.8750) and O at (0.1250, 0.1250, 0.1250).

For the energy, the calculation gives -7.114 eV per atom. The volume is 1088 Å³ per cell. The energy of formation from the pure elements comes out at -2460.5 meV/atom.